An optimized crystal structure of NaGeO3. Source: the Materials Project, functional PBE.

Values from the calculation:
The space-group type is Pm-3m (221). Its crystal system is cubic. For the raw total energy, the calculation gives -5.444 eV/atom. The value obtained for the total magnetization is 0.4 μB per cell. The formation energy from the elements is -1.698 eV/atom.

a b c (Å): 3.7648 3.7648 3.7648
angles (deg): 90.00 90.00 90.00
Fractional positions:
Na: 0.0000 0.0000 0.0000
Ge: 0.5000 0.5000 0.5000
O: 0.0000 0.5000 0.5000
O: 0.5000 0.0000 0.5000
O: 0.5000 0.5000 0.0000

---

An optimized crystal structure of Nd2Cu2O5. Source: the Materials Project, functional PBE.

Values from the calculation:
The space-group type is C2/c (15). Its crystal system is monoclinic. For the raw total energy, the calculation gives -6.783 eV/atom. The calculation puts the energy above the most stable polymorph in this dataset at 9 meV per atom. The value obtained for the total magnetization is 1.4 μB per cell. The formation energy from the elements is -2.445 eV/atom.

a b c (Å): 7.1343 7.1343 27.2913
angles (deg): 102.43 102.43 30.17
Fractional positions:
Nd: 0.0955 0.6579 0.5982
Nd: 0.1154 0.6083 0.7316
Nd: 0.1184 0.5748 0.8645
Nd: 0.3421 0.9045 0.9018
Nd: 0.3917 0.8846 0.7684
Nd: 0.4252 0.8816 0.6355
Nd: 0.5748 0.1184 0.3645
Nd: 0.6083 0.1154 0.2316
Nd: 0.6579 0.0955 0.0982
Nd: 0.8816 0.4252 0.1355
Nd: 0.8846 0.3917 0.2684
Nd: 0.9045 0.3421 0.4018
Cu: 0.0811 0.2916 0.0301
Cu: 0.2484 0.7395 0.3191
Cu: 0.2610 0.7235 0.4612
Cu: 0.2605 0.7516 0.1809
Cu: 0.2765 0.7390 0.0388
Cu: 0.2916 0.0811 0.5301
Cu: 0.7084 0.9189 0.4699
Cu: 0.7235 0.2610 0.9612
Cu: 0.7395 0.2484 0.8191
Cu: 0.7390 0.2765 0.5388
Cu: 0.7516 0.2605 0.6809
Cu: 0.9189 0.7084 0.9699
O: 0.0024 0.5841 0.4101
O: 0.0430 0.6130 0.1651
O: 0.0438 0.5852 0.2909
O: 0.1210 0.5421 0.0388
O: 0.1852 0.7204 0.9618
O: 0.2417 0.7490 0.8197
O: 0.2510 0.7583 0.6803
O: 0.2538 0.7462 0.2500
O: 0.2590 0.7194 0.3893
O: 0.2796 0.8148 0.5382
O: 0.2806 0.7410 0.1107
O: 0.3870 0.9570 0.3349
O: 0.4148 0.9562 0.2091
O: 0.4159 0.9976 0.0899
O: 0.4579 0.8790 0.4612
O: 0.5421 0.1210 0.5388
O: 0.5841 0.0024 0.9101
O: 0.5852 0.0438 0.7909
O: 0.6130 0.0430 0.6651
O: 0.7194 0.2590 0.8893
O: 0.7204 0.1852 0.4618
O: 0.7410 0.2806 0.6107
O: 0.7462 0.2538 0.7500
O: 0.7490 0.2417 0.3197
O: 0.7583 0.2510 0.1803
O: 0.8148 0.2796 0.0382
O: 0.8790 0.4579 0.9612
O: 0.9562 0.4148 0.7091
O: 0.9570 0.3870 0.8349
O: 0.9976 0.4159 0.5899

---

An optimized crystal structure of KNbP2O8. Source: the Materials Project, functional PBE.

Values from the calculation:
The space-group type is P2_1/c (14). Its crystal system is monoclinic. For the raw total energy, the calculation gives -7.500 eV/atom. The value obtained for the total magnetization is 0.0 μB per cell. The formation energy from the elements is -2.823 eV/atom.

a b c (Å): 5.2587 12.0064 13.0567
angles (deg): 90.00 112.52 90.00
Fractional positions:
K: 0.1847 0.1341 0.4475
K: 0.1847 0.3659 0.9475
K: 0.8153 0.6341 0.0525
K: 0.8153 0.8659 0.5525
Nb: 0.4116 0.1227 0.1690
Nb: 0.4116 0.3773 0.6690
Nb: 0.5884 0.6227 0.3310
Nb: 0.5884 0.8773 0.8310
P: 0.1049 0.6891 0.8480
P: 0.1049 0.8109 0.3480
P: 0.1154 0.0638 0.8655
P: 0.1154 0.4362 0.3655
P: 0.8846 0.5638 0.6345
P: 0.8846 0.9362 0.1345
P: 0.8951 0.1891 0.6520
P: 0.8951 0.3109 0.1520
O: 0.0554 0.1718 0.7855
O: 0.0554 0.3282 0.2855
O: 0.0746 0.2230 0.1241
O: 0.0746 0.2770 0.6241
O: 0.1356 0.5833 0.9113
O: 0.1356 0.9167 0.4113
O: 0.1671 0.5135 0.6524
O: 0.1671 0.9865 0.1524
O: 0.2712 0.1094 0.9793
O: 0.2712 0.3906 0.4793
O: 0.2758 0.5194 0.3231
O: 0.2758 0.9806 0.8231
O: 0.3811 0.7440 0.8611
O: 0.3811 0.7560 0.3611
O: 0.4822 0.6408 0.1871
O: 0.4822 0.8592 0.6871
O: 0.5178 0.1408 0.3129
O: 0.5178 0.3592 0.8129
O: 0.6189 0.2440 0.6389
O: 0.6189 0.2560 0.1389
O: 0.7242 0.0194 0.1769
O: 0.7242 0.4806 0.6769
O: 0.7288 0.6094 0.5207
O: 0.7288 0.8906 0.0207
O: 0.8329 0.0135 0.8476
O: 0.8329 0.4865 0.3476
O: 0.8644 0.0833 0.5887
O: 0.8644 0.4167 0.0887
O: 0.9254 0.7230 0.3759
O: 0.9254 0.7770 0.8759
O: 0.9446 0.6718 0.7145
O: 0.9446 0.8282 0.2145

---

An optimized crystal structure of Hf5Si3. Source: the Materials Project, functional PBE.

Values from the calculation:
The space-group type is P6_3/mcm (193). Its crystal system is hexagonal. For the raw total energy, the calculation gives -9.002 eV/atom. The formation energy from the elements is -0.718 eV/atom.

a b c (Å): 7.8900 7.8900 5.5115
angles (deg): 90.00 90.00 120.00
Fractional positions:
Hf: 0.0000 0.2530 0.2500
Hf: 0.0000 0.7470 0.7500
Hf: 0.2530 0.0000 0.2500
Hf: 0.2530 0.2530 0.7500
Hf: 0.3333 0.6667 0.0000
Hf: 0.3333 0.6667 0.5000
Hf: 0.6667 0.3333 0.0000
Hf: 0.6667 0.3333 0.5000
Hf: 0.7470 0.0000 0.7500
Hf: 0.7470 0.7470 0.2500
Si: 0.0000 0.3906 0.7500
Si: 0.0000 0.6094 0.2500
Si: 0.3906 0.0000 0.7500
Si: 0.3906 0.3906 0.2500
Si: 0.6094 0.0000 0.2500
Si: 0.6094 0.6094 0.7500

---

An optimized crystal structure of MgTl2Sb2O6. Source: the Materials Project, functional PBE.

Values from the calculation:
The space-group type is R-3 (148). Its crystal system is trigonal. For the raw total energy, the calculation gives -5.112 eV/atom. The calculation puts the energy above the most stable polymorph in this dataset at 198 meV per atom. The value obtained for the total magnetization is 0.0 μB per cell. The formation energy from the elements is -1.462 eV/atom.

a b c (Å): 8.0414 8.0414 8.0414
angles (deg): 39.66 39.66 39.66
Fractional positions:
Mg: 0.0000 0.0000 0.0000
Tl: 0.3762 0.3762 0.3762
Tl: 0.6238 0.6238 0.6238
Sb: 0.1683 0.1683 0.1683
Sb: 0.8317 0.8317 0.8317
O: 0.0637 0.8369 0.4448
O: 0.1631 0.5552 0.9363
O: 0.4448 0.0637 0.8369
O: 0.5552 0.9363 0.1631
O: 0.8369 0.4448 0.0637
O: 0.9363 0.1631 0.5552

---

An optimized crystal structure of BiAsO2. Source: the Materials Project, functional PBE.

Values from the calculation:
The space-group type is I4_1/amd (141). Its crystal system is tetragonal. For the raw total energy, the calculation gives -5.048 eV/atom. The value obtained for the total magnetization is 0.0 μB per cell. The formation energy from the elements is -0.780 eV/atom.

a b c (Å): 7.6201 7.6201 7.6201
angles (deg): 128.66 128.66 75.56
Fractional positions:
Bi: 0.0000 0.0000 0.0000
Bi: 0.0000 0.0000 0.5000
Bi: 0.0000 0.5000 0.0000
Bi: 0.5000 0.0000 0.5000
As: 0.0000 0.5000 0.5000
As: 0.5000 0.0000 0.0000
As: 0.5000 0.5000 0.0000
As: 0.5000 0.5000 0.5000
O: 0.2030 0.2254 0.5224
O: 0.2030 0.6806 0.9776
O: 0.2254 0.2030 0.0224
O: 0.3194 0.7970 0.5224
O: 0.6806 0.2030 0.4776
O: 0.7746 0.7970 0.9776
O: 0.7970 0.3194 0.0224
O: 0.7970 0.7746 0.4776

---

An optimized crystal structure of Zn9Fe4. Source: the Materials Project, functional PBE.

Values from the calculation:
The space-group type is I-43m (217). Its crystal system is cubic. For the raw total energy, the calculation gives -3.522 eV/atom. The calculation puts the energy above the most stable polymorph in this dataset at 0 meV per atom. The formation energy from the elements is -0.043 eV/atom.

a b c (Å): 7.7733 7.7733 7.7733
angles (deg): 109.47 109.47 109.47
Fractional positions:
Zn: 0.0000 0.3564 0.3564
Zn: 0.0000 0.3562 0.7513
Zn: 0.0000 0.6436 0.6436
Zn: 0.0000 0.7513 0.3562
Zn: 0.2487 0.2487 0.6050
Zn: 0.2487 0.6050 0.2487
Zn: 0.3564 0.0000 0.3564
Zn: 0.3562 0.0000 0.7513
Zn: 0.3564 0.3564 0.0000
Zn: 0.3562 0.7513 0.0000
Zn: 0.3950 0.6438 0.6438
Zn: 0.6050 0.2487 0.2487
Zn: 0.6436 0.0000 0.6436
Zn: 0.6438 0.3950 0.6438
Zn: 0.6436 0.6436 0.0000
Zn: 0.6438 0.6438 0.3950
Zn: 0.7513 0.0000 0.3562
Zn: 0.7513 0.3562 0.0000
Fe: 0.0000 0.0000 0.2065
Fe: 0.0000 0.0000 0.6833
Fe: 0.0000 0.2065 0.0000
Fe: 0.0000 0.6833 0.0000
Fe: 0.2065 0.0000 0.0000
Fe: 0.3167 0.3167 0.3167
Fe: 0.6833 0.0000 0.0000
Fe: 0.7935 0.7935 0.7935

---

An optimized crystal structure of TlV5S8. Source: the Materials Project, functional PBE.

Values from the calculation:
The space-group type is C2 (5). Its crystal system is monoclinic. For the raw total energy, the calculation gives -6.672 eV/atom. The value obtained for the total magnetization is 2.1 μB per cell. The formation energy from the elements is -1.183 eV/atom.

a b c (Å): 8.9371 8.9371 8.5517
angles (deg): 104.45 104.45 21.03
Fractional positions:
Tl: 0.0000 0.0000 0.0000
V: 0.1701 0.1263 0.4968
V: 0.2333 0.1885 0.8586
V: 0.5222 0.4778 0.5000
V: 0.8115 0.7667 0.1414
V: 0.8737 0.8299 0.5032
S: 0.0967 0.0519 0.6794
S: 0.2811 0.2366 0.3400
S: 0.3614 0.3171 0.9998
S: 0.4368 0.3934 0.6800
S: 0.6066 0.5632 0.3200
S: 0.6829 0.6386 0.0002
S: 0.7634 0.7189 0.6600
S: 0.9481 0.9033 0.3206